No. 1
# BaGa2Sb2

BaGa2Sb2 after structural relaxation (r2SCAN, the Materials Project database).

abc: 4.474 10.343 25.796
angles: 90.00 90.00 90.00
Positions (direct):
Ga (0.750, 0.797, 0.785)
Ga (0.750, 0.469, 0.318)
Ga (0.250, 0.896, 0.465)
Ga (0.250, 0.203, 0.215)
Ga (0.250, 0.604, 0.965)
Ga (0.250, 0.531, 0.682)
Ga (0.750, 0.396, 0.035)
Ga (0.250, 0.969, 0.182)
Ga (0.750, 0.179, 0.080)
Ga (0.750, 0.321, 0.580)
Ga (0.750, 0.031, 0.818)
Ga (0.250, 0.821, 0.920)
Ga (0.250, 0.297, 0.715)
Ga (0.750, 0.104, 0.535)
Ga (0.250, 0.679, 0.420)
Ga (0.750, 0.703, 0.285)
Sb (0.750, 0.201, 0.671)
Sb (0.750, 0.971, 0.921)
Sb (0.750, 0.684, 0.686)
Sb (0.750, 0.529, 0.421)
Sb (0.250, 0.471, 0.579)
Sb (0.250, 0.029, 0.079)
Sb (0.250, 0.981, 0.569)
Sb (0.750, 0.816, 0.186)
Sb (0.750, 0.299, 0.171)
Sb (0.250, 0.316, 0.314)
Sb (0.250, 0.184, 0.814)
Sb (0.750, 0.481, 0.931)
Sb (0.250, 0.701, 0.829)
Sb (0.250, 0.519, 0.069)
Sb (0.250, 0.799, 0.329)
Sb (0.750, 0.019, 0.431)
Ba (0.250, 0.949, 0.707)
Ba (0.250, 0.281, 0.462)
Ba (0.250, 0.219, 0.962)
Ba (0.750, 0.781, 0.038)
Ba (0.750, 0.449, 0.793)
Ba (0.250, 0.551, 0.207)
Ba (0.750, 0.051, 0.293)
Ba (0.750, 0.719, 0.538)

E_tot   -20.788 eV/atom
Space group   No. 62
Formation enthalpy at 0 K   -0.63 eV per atom
ρ   5.8 g/cm3

***

No. 2
# Ba3GaSb3

Ba3GaSb3 after structural relaxation (r2SCAN, the Materials Project database).

abc: 7.217 14.264 21.391
angles: 90.00 90.00 90.00
Positions (direct):
Ba (0.676, 0.484, 0.750)
Ba (0.770, 0.009, 0.423)
Ba (0.699, 0.235, 0.250)
Ba (0.270, 0.491, 0.577)
Ba (0.305, 0.238, 0.076)
Ba (0.730, 0.509, 0.423)
Ba (0.730, 0.509, 0.077)
Ba (0.805, 0.262, 0.576)
Ba (0.695, 0.762, 0.924)
Ba (0.324, 0.516, 0.250)
Ba (0.230, 0.991, 0.923)
Ba (0.305, 0.238, 0.424)
Ba (0.695, 0.762, 0.576)
Ba (0.801, 0.735, 0.250)
Ba (0.270, 0.491, 0.923)
Ba (0.770, 0.009, 0.077)
Ba (0.195, 0.738, 0.076)
Ba (0.230, 0.991, 0.577)
Ba (0.824, 0.984, 0.750)
Ba (0.199, 0.265, 0.750)
Ba (0.195, 0.738, 0.424)
Ba (0.176, 0.016, 0.250)
Ba (0.805, 0.262, 0.924)
Ba (0.301, 0.765, 0.750)
Sb (0.198, 0.741, 0.590)
Sb (0.770, 0.513, 0.590)
Sb (0.793, 0.731, 0.750)
Sb (0.730, 0.013, 0.910)
Sb (0.179, 0.520, 0.750)
Sb (0.198, 0.741, 0.910)
Sb (0.802, 0.259, 0.410)
Sb (0.698, 0.759, 0.090)
Sb (0.302, 0.241, 0.910)
Sb (0.230, 0.487, 0.410)
Sb (0.707, 0.231, 0.750)
Sb (0.270, 0.987, 0.410)
Sb (0.230, 0.487, 0.090)
Sb (0.679, 0.980, 0.250)
Sb (0.207, 0.269, 0.250)
Sb (0.302, 0.241, 0.590)
Sb (0.698, 0.759, 0.410)
Sb (0.802, 0.259, 0.090)
Sb (0.821, 0.480, 0.250)
Sb (0.270, 0.987, 0.090)
Sb (0.730, 0.013, 0.590)
Sb (0.293, 0.769, 0.250)
Sb (0.321, 0.020, 0.750)
Sb (0.770, 0.513, 0.910)
Ga (0.985, 0.627, 0.837)
Ga (0.485, 0.873, 0.337)
Ga (0.485, 0.873, 0.163)
Ga (0.515, 0.127, 0.663)
Ga (0.015, 0.373, 0.163)
Ga (0.515, 0.127, 0.837)
Ga (0.015, 0.373, 0.337)
Ga (0.985, 0.627, 0.663)

E_tot   -25.077 eV/atom
Space group   No. 62
Formation enthalpy at 0 K   -1.07 eV per atom
ρ   5.1 g/cm3

***

No. 3
# BaGa4Se7

BaGa4Se7 after structural relaxation (r2SCAN, the Materials Project database).

abc: 6.593 7.695 14.835
angles: 58.97 90.00 90.00
Positions (direct):
Ga (0.842, 0.491, 0.273)
Ga (0.010, 0.000, 0.500)
Ga (0.363, 0.237, 0.275)
Ga (0.990, 0.000, 0.000)
Ga (0.835, 0.009, 0.259)
Ga (0.165, 0.009, 0.759)
Ga (0.637, 0.237, 0.775)
Ga (0.158, 0.491, 0.773)
Se (0.503, 0.566, 0.722)
Se (0.025, 0.817, 0.195)
Se (0.638, 0.005, 0.960)
Se (0.106, 0.327, 0.957)
Se (0.894, 0.327, 0.457)
Se (0.149, 0.786, 0.945)
Se (0.489, 0.100, 0.677)
Se (0.851, 0.786, 0.445)
Se (0.511, 0.100, 0.177)
Se (0.497, 0.566, 0.222)
Se (0.975, 0.817, 0.695)
Se (0.362, 0.005, 0.460)
Se (0.981, 0.328, 0.692)
Se (0.019, 0.328, 0.192)
Ba (0.648, 0.566, 0.953)
Ba (0.352, 0.566, 0.453)

E_tot   -15.394 eV/atom
Space group   No. 7
Formation enthalpy at 0 K   -1.02 eV per atom
ρ   5.0 g/cm3

***

No. 4
# Ba5Ga5Sn

Ba5Ga5Sn after structural relaxation (r2SCAN, the Materials Project database).

abc: 6.012 6.012 11.049
angles: 90.00 90.00 120.00
Positions (direct):
Ba (0.667, 0.333, 0.203)
Ba (0.000, 0.000, 0.331)
Ba (0.667, 0.333, 0.797)
Ba (0.333, 0.667, 0.000)
Ba (0.000, 0.000, 0.669)
Ga (0.333, 0.667, 0.329)
Ga (0.333, 0.667, 0.671)
Ga (0.972, 0.486, 0.500)
Ga (0.514, 0.486, 0.500)
Ga (0.514, 0.028, 0.500)
Sn (0.000, 0.000, 0.000)

E_tot   -20.046 eV/atom
Space group   No. 187
Formation enthalpy at 0 K   -0.55 eV per atom
ρ   5.5 g/cm3

***

No. 5
# BaSrGa4

BaSrGa4 after structural relaxation (r2SCAN, the Materials Project database).

abc: 4.350 4.350 9.997
angles: 90.00 90.00 120.00
Positions (direct):
Ba (0.000, 0.000, 0.500)
Sr (0.000, 0.000, 0.000)
Ga (0.667, 0.333, 0.761)
Ga (0.667, 0.333, 0.239)
Ga (0.333, 0.667, 0.239)
Ga (0.333, 0.667, 0.761)

E_tot   -15.136 eV/atom
Space group   No. 191
Formation enthalpy at 0 K   -0.57 eV per atom
ρ   5.1 g/cm3

***

No. 6
# BaGd2O4

BaGd2O4 after structural relaxation (r2SCAN, the Materials Project database).

abc: 3.521 10.531 12.279
angles: 90.00 90.00 90.00
Positions (direct):
O (0.250, 0.071, 0.925)
O (0.750, 0.929, 0.075)
O (0.750, 0.429, 0.425)
O (0.250, 0.982, 0.283)
O (0.750, 0.210, 0.163)
O (0.750, 0.117, 0.482)
O (0.750, 0.518, 0.783)
O (0.750, 0.617, 0.018)
O (0.250, 0.883, 0.518)
O (0.750, 0.710, 0.337)
O (0.250, 0.571, 0.575)
O (0.250, 0.790, 0.837)
O (0.750, 0.018, 0.717)
O (0.250, 0.482, 0.217)
O (0.250, 0.290, 0.663)
O (0.250, 0.383, 0.982)
Gd (0.750, 0.425, 0.611)
Gd (0.250, 0.075, 0.111)
Gd (0.750, 0.422, 0.110)
Gd (0.750, 0.922, 0.390)
Gd (0.250, 0.575, 0.389)
Gd (0.250, 0.578, 0.890)
Gd (0.750, 0.925, 0.889)
Gd (0.250, 0.078, 0.610)
Ba (0.750, 0.753, 0.649)
Ba (0.250, 0.747, 0.149)
Ba (0.250, 0.247, 0.351)
Ba (0.750, 0.253, 0.851)

E_tot   -23.073 eV/atom
Space group   No. 62
Formation enthalpy at 0 K   -3.47 eV per atom
ρ   7.5 g/cm3

***

In the order shown, the computed V values come out to 29.84, 39.32, 26.87, 31.44, 27.30, 16.26 Å³/atom.